Density functional theory data (PBE-GGA) for a geometry-optimized AlAg9S6 structure.

a b c (Å): 7.676 7.792 7.932
angles (deg): 63.22 62.52 61.26
Fractional coordinates of all 16 atoms:
Al1 0.000 0.000 0.000
Ag1 0.172 0.940 0.448
Ag2 0.306 0.304 0.751
Ag3 0.489 0.989 0.540
Ag4 0.503 0.587 0.909
Ag5 0.530 0.938 0.996
Ag6 0.586 0.362 0.283
Ag7 0.731 0.307 0.648
Ag8 0.765 0.678 0.339
Ag9 0.934 0.551 0.985
S1 0.089 0.147 0.664
S2 0.118 0.140 0.107
S3 0.121 0.658 0.100
S4 0.450 0.572 0.495
S5 0.642 0.121 0.127
S6 0.755 0.770 0.723

Total energy after the MP2020 corrections   -3.7469 eV/atom
ΔH_f (0 K)   -0.37 eV per atom
Electronic total energy   -3.558 eV per atom
Total moment   0.0 μB per cell

---

Density functional theory data (PBE-GGA) for a geometry-optimized AlAgSe2 structure.

a b c (Å): 7.010 7.010 7.010
angles (deg): 128.94 128.94 75.11
Fractional coordinates of all 8 atoms:
Al1 0.000 0.000 0.000
Al2 0.750 0.250 0.500
Ag1 0.250 0.750 0.500
Ag2 0.500 0.500 0.000
Se1 0.089 0.125 0.464
Se2 0.375 0.911 0.036
Se3 0.661 0.625 0.536
Se4 0.875 0.339 0.964

Total energy after the MP2020 corrections   -4.2478 eV/atom
ΔH_f (0 K)   -0.86 eV per atom
Electronic total energy   -4.012 eV per atom
Maximum piezoelectric response   0.2 C/m²

---

Density functional theory data (PBE-GGA) for a geometry-optimized Al2SiAg7 structure.

a b c (Å): 6.970 7.045 7.015
angles (deg): 90.00 91.18 90.00
Fractional coordinates of all 20 atoms:
Al1 0.189 0.000 0.058
Al2 0.310 0.623 0.565
Al3 0.690 0.123 0.435
Al4 0.811 0.500 0.942
Si1 0.063 0.745 0.812
Si2 0.937 0.245 0.188
Ag1 0.043 0.929 0.454
Ag2 0.123 0.604 0.204
Ag3 0.202 0.353 0.876
Ag4 0.295 0.266 0.374
Ag5 0.374 0.008 0.707
Ag6 0.433 0.873 0.316
Ag7 0.455 0.679 0.950
Ag8 0.545 0.179 0.050
Ag9 0.567 0.373 0.684
Ag10 0.626 0.508 0.293
Ag11 0.705 0.766 0.626
Ag12 0.798 0.853 0.124
Ag13 0.877 0.104 0.796
Ag14 0.957 0.429 0.546

ΔH_f (0 K)   0.01 eV per atom
Electronic total energy   -3.269 eV per atom
Total moment   0.0 μB per cell

---

Density functional theory data (PBE-GGA) for a geometry-optimized SmAlAg2 structure.

a b c (Å): 4.911 4.911 4.911
angles (deg): 60.00 60.00 60.00
Fractional coordinates of all 4 atoms:
Sm1 0.000 0.000 0.000
Al1 0.500 0.500 0.500
Ag1 0.250 0.250 0.250
Ag2 0.750 0.750 0.750

ΔH_f (0 K)   -0.31 eV per atom
Electronic total energy   -3.845 eV per atom

---

Density functional theory data (PBE-GGA) for a geometry-optimized Sm2AlAg3 structure.

a b c (Å): 5.816 5.816 7.220
angles (deg): 126.47 126.47 47.54
Fractional coordinates of all 6 atoms:
Sm1 0.000 0.000 0.000
Sm2 0.080 0.080 0.584
Al1 0.712 0.712 0.408
Ag1 0.364 0.364 0.571
Ag2 0.390 0.390 0.181
Ag3 0.701 0.701 0.006

ΔH_f (0 K)   -0.33 eV per atom
Electronic total energy   -3.945 eV per atom

---

Density functional theory data (PBE-GGA) for a geometry-optimized TbAlAg2 structure.

a b c (Å): 4.855 4.855 4.855
angles (deg): 60.00 60.00 60.00
Fractional coordinates of all 4 atoms:
Tb1 0.000 0.000 0.000
Al1 0.500 0.500 0.500
Ag1 0.250 0.250 0.250
Ag2 0.750 0.750 0.750

ΔH_f (0 K)   -0.33 eV per atom
Electronic total energy   -3.845 eV per atom

---

Density functional theory data (PBE-GGA) for a geometry-optimized AgAs structure.

a b c (Å): 4.991 2.961 5.173
angles (deg): 90.00 90.00 90.00
Fractional coordinates of all 4 atoms:
Ag1 0.250 0.000 0.165
Ag2 0.750 0.000 0.835
As1 0.250 0.500 0.666
As2 0.750 0.500 0.334

ΔH_f (0 K)   0.22 eV per atom
Electronic total energy   -3.522 eV per atom
Total moment   0.0 μB per cell

---

Density functional theory data (PBE-GGA) for a geometry-optimized BaAgAs structure.

a b c (Å): 4.673 4.673 9.120
angles (deg): 90.00 90.00 120.00
Fractional coordinates of all 6 atoms:
Ba1 0.000 0.000 0.000
Ba2 0.000 0.000 0.500
Ag1 0.333 0.667 0.250
Ag2 0.667 0.333 0.750
As1 0.333 0.667 0.750
As2 0.667 0.333 0.250

ΔH_f (0 K)   -0.79 eV per atom
Electronic total energy   -3.928 eV per atom

---

> ΔH_f (0 K) of number 2 (AlAgSe2)?

-0.86 eV per atom

---

Repeat the second record exactly.
Density functional theory data (PBE-GGA) for a geometry-optimized AlAgSe2 structure.

a b c (Å): 7.010 7.010 7.010
angles (deg): 128.94 128.94 75.11
Fractional coordinates of all 8 atoms:
Al1 0.000 0.000 0.000
Al2 0.750 0.250 0.500
Ag1 0.250 0.750 0.500
Ag2 0.500 0.500 0.000
Se1 0.089 0.125 0.464
Se2 0.375 0.911 0.036
Se3 0.661 0.625 0.536
Se4 0.875 0.339 0.964

Total energy after the MP2020 corrections   -4.2478 eV/atom
ΔH_f (0 K)   -0.86 eV per atom
Electronic total energy   -4.012 eV per atom
Maximum piezoelectric response   0.2 C/m²